Record 1
Compound: U2Be25Cu
Source: the Materials Project
Functional: GGA-PBE
Structure: relaxed Values from VASP.

ΔH_f (0 K)	-0.065	eV per atom
crystal system	cubic

The structure in Quantum ESPRESSO input format:
```
&SYSTEM
  ibrav = 0, nat = 28, ntyp = 3
/
ATOMIC_SPECIES
U 238.03 U.upf
Be 9.01 Be.upf
Cu 63.55 Cu.upf
CELL_PARAMETERS angstrom
0.0000 5.1271 5.1271
5.1271 0.0000 5.1271
5.1271 5.1271 0.0000
ATOMIC_POSITIONS crystal
U 0.2500 0.2500 0.2500
U 0.7500 0.7500 0.7500
Be 0.0000 0.0000 0.0000
Be 0.0626 0.2872 0.7128
Be 0.0626 0.7128 0.9374
Be 0.0626 0.9374 0.2872
Be 0.1972 0.4413 0.8028
Be 0.1972 0.5587 0.4413
Be 0.1972 0.8028 0.5587
Be 0.2872 0.0626 0.9374
Be 0.2872 0.7128 0.0626
Be 0.2872 0.9374 0.7128
Be 0.4413 0.1972 0.5587
Be 0.4413 0.5587 0.8028
Be 0.4413 0.8028 0.1972
Be 0.5587 0.1972 0.8028
Be 0.5587 0.4413 0.1972
Be 0.5587 0.8028 0.4413
Be 0.7128 0.0626 0.2872
Be 0.7128 0.2872 0.9374
Be 0.7128 0.9374 0.0626
Be 0.8028 0.1972 0.4413
Be 0.8028 0.4413 0.5587
Be 0.8028 0.5587 0.1972
Be 0.9374 0.0626 0.7128
Be 0.9374 0.2872 0.0626
Be 0.9374 0.7128 0.2872
Cu 0.5000 0.5000 0.5000
```

Record 2
Compound: AgBrO2
Source: the Materials Project
Functional: GGA-PBE
Structure: relaxed Values from VASP.

ΔH_f (0 K)	-0.206	eV per atom
crystal system	monoclinic
E (MP2020)	-30.38	eV for the cell shown

The structure in Quantum ESPRESSO input format:
```
&SYSTEM
  ibrav = 0, nat = 8, ntyp = 3
/
ATOMIC_SPECIES
Ag 107.87 Ag.upf
Br 79.90 Br.upf
O 16.00 O.upf
CELL_PARAMETERS angstrom
4.2150 0.0000 0.0000
0.0000 3.5962 0.0000
-1.0877 0.0000 10.9949
ATOMIC_POSITIONS crystal
Ag 0.1475 0.2500 0.4058
Ag 0.8525 0.7500 0.5942
Br 0.3645 0.2500 0.6599
Br 0.6355 0.7500 0.3401
O 0.0716 0.2500 0.0802
O 0.1978 0.7500 0.9743
O 0.8022 0.2500 0.0257
O 0.9284 0.7500 0.9198
```

Record 3
Compound: YCu3Ag4O12
Source: the Materials Project
Functional: GGA-PBE
Structure: relaxed Values from VASP.

ΔH_f (0 K)	-0.922	eV per atom
crystal system	cubic
E (MP2020)	-107.92	eV for the cell shown

The structure in Quantum ESPRESSO input format:
```
&SYSTEM
  ibrav = 0, nat = 20, ntyp = 4
/
ATOMIC_SPECIES
Y 88.91 Y.upf
Cu 63.55 Cu.upf
Ag 107.87 Ag.upf
O 16.00 O.upf
CELL_PARAMETERS angstrom
-3.8847 3.8847 3.8847
3.8847 -3.8847 3.8847
3.8847 3.8847 -3.8847
ATOMIC_POSITIONS crystal
Y 0.0000 0.0000 0.0000
Cu 0.0000 0.5000 0.5000
Cu 0.5000 0.0000 0.5000
Cu 0.5000 0.5000 0.0000
Ag 0.0000 0.0000 0.5000
Ag 0.0000 0.5000 0.0000
Ag 0.5000 0.0000 0.0000
Ag 0.5000 0.5000 0.5000
O 0.1550 0.3101 0.4651
O 0.1550 0.6899 0.8449
O 0.1551 0.8450 0.3101
O 0.3101 0.1551 0.8450
O 0.3101 0.4651 0.1550
O 0.4651 0.1550 0.3101
O 0.5349 0.8450 0.6899
O 0.6899 0.5349 0.8450
O 0.6899 0.8449 0.1550
O 0.8449 0.1550 0.6899
O 0.8450 0.3101 0.1551
O 0.8450 0.6899 0.5349
```

Record 4
Compound: Ac2S3
Source: the Materials Project
Functional: GGA-PBE
Structure: relaxed Values from VASP.

energy above the lowest structure with this stoichiometry	36.2	meV/atom
ΔH_f (0 K)	-2.424	eV per atom
crystal system	trigonal
E (MP2020)	-65.54	eV for the cell shown

The structure in Quantum ESPRESSO input format:
```
&SYSTEM
  ibrav = 0, nat = 10, ntyp = 2
/
ATOMIC_SPECIES
Ac 227.00 Ac.upf
S 32.06 S.upf
CELL_PARAMETERS angstrom
3.8089 2.1991 6.5423
-3.8089 2.1991 6.5423
0.0000 -4.3981 6.5423
ATOMIC_POSITIONS crystal
Ac 0.1435 0.1435 0.1435
Ac 0.3565 0.3565 0.3565
Ac 0.6435 0.6435 0.6435
Ac 0.8565 0.8565 0.8565
S 0.0391 0.7500 0.4609
S 0.2500 0.5391 0.9609
S 0.4609 0.0391 0.7500
S 0.5391 0.9609 0.2500
S 0.7500 0.4609 0.0391
S 0.9609 0.2500 0.5391
```

Record 5
Compound: TlO
Source: the Materials Project
Functional: GGA-PBE
Structure: relaxed Values from VASP.

energy above the lowest structure with this stoichiometry	0.0	meV/atom
ΔH_f (0 K)	-0.913	eV per atom
crystal system	monoclinic
E (MP2020)	-73.09	eV for the cell shown

The structure in Quantum ESPRESSO input format:
```
&SYSTEM
  ibrav = 0, nat = 16, ntyp = 2
/
ATOMIC_SPECIES
Tl 204.38 Tl.upf
O 16.00 O.upf
CELL_PARAMETERS angstrom
2.4414 -2.6318 0.0000
2.4414 2.6318 0.0000
-0.0599 0.0000 21.7753
ATOMIC_POSITIONS crystal
Tl 0.1454 0.3559 0.0607
Tl 0.2481 0.2481 0.1884
Tl 0.2489 0.2466 0.6903
Tl 0.3146 0.1899 0.5607
Tl 0.6441 0.8546 0.9393
Tl 0.7519 0.7519 0.8116
Tl 0.7534 0.7511 0.3097
Tl 0.8101 0.6854 0.4393
O 0.1861 0.3121 0.7913
O 0.1983 0.3055 0.2895
O 0.2102 0.2878 0.9595
O 0.2496 0.2478 0.4594
O 0.6879 0.8139 0.2087
O 0.6945 0.8017 0.7105
O 0.7122 0.7898 0.0405
O 0.7522 0.7504 0.5406
```

Record 6
Compound: CaHf8N8O4
Source: the Materials Project
Functional: GGA-PBE
Structure: relaxed Values from VASP.

energy above the lowest structure with this stoichiometry	0.0	meV/atom
ΔH_f (0 K)	-2.185	eV per atom
crystal system	triclinic
E (MP2020)	-214.03	eV for the cell shown

The structure in Quantum ESPRESSO input format:
```
&SYSTEM
  ibrav = 0, nat = 21, ntyp = 4
/
ATOMIC_SPECIES
Ca 40.08 Ca.upf
Hf 178.49 Hf.upf
N 14.01 N.upf
O 16.00 O.upf
CELL_PARAMETERS angstrom
5.4541 0.0000 0.0000
-2.7267 4.9104 0.0000
-0.3419 -0.7225 10.2750
ATOMIC_POSITIONS crystal
Ca 0.0000 0.0000 0.0000
Hf 0.2791 0.6184 0.4230
Hf 0.3358 0.6806 0.1287
Hf 0.3453 0.7018 0.8254
Hf 0.6073 0.3006 0.5738
Hf 0.6153 0.2911 0.1614
Hf 0.6518 0.3362 0.8672
Hf 0.9330 0.0095 0.3224
Hf 0.9565 0.9752 0.6350
N 0.0105 0.3958 0.2539
N 0.2347 0.9808 0.2123
N 0.2496 0.2640 0.4863
N 0.3517 0.0265 0.7225
N 0.4463 0.4459 0.0010
N 0.5702 0.0111 0.9824
N 0.6593 0.9848 0.4878
N 0.6642 0.6467 0.7374
O 0.0346 0.6041 0.9663
O 0.5802 0.6134 0.2761
O 0.9557 0.6543 0.5056
O 0.9741 0.3211 0.7364
```

Record 7
Compound: HfZrTc2
Source: the Materials Project
Functional: GGA-PBE
Structure: relaxed Values from VASP.

ΔH_f (0 K)	-0.418	eV per atom
crystal system	cubic

The structure in Quantum ESPRESSO input format:
```
&SYSTEM
  ibrav = 0, nat = 4, ntyp = 3
/
ATOMIC_SPECIES
Hf 178.49 Hf.upf
Zr 91.22 Zr.upf
Tc 98.00 Tc.upf
CELL_PARAMETERS angstrom
0.0000 3.2822 3.2822
3.2822 0.0000 3.2822
3.2822 3.2822 0.0000
ATOMIC_POSITIONS crystal
Hf 0.0000 0.0000 0.0000
Zr 0.5000 0.5000 0.5000
Tc 0.2500 0.2500 0.2500
Tc 0.7500 0.7500 0.7500
```

Record 8
Compound: LiEr2Os
Source: the Materials Project
Functional: GGA-PBE
Structure: relaxed Values from VASP.

ΔH_f (0 K)	-0.277	eV per atom
crystal system	cubic

The structure in Quantum ESPRESSO input format:
```
&SYSTEM
  ibrav = 0, nat = 4, ntyp = 3
/
ATOMIC_SPECIES
Li 6.94 Li.upf
Er 167.26 Er.upf
Os 190.23 Os.upf
CELL_PARAMETERS angstrom
0.0000 3.4344 3.4344
3.4344 0.0000 3.4344
3.4344 3.4344 0.0000
ATOMIC_POSITIONS crystal
Li 0.0000 0.0000 0.0000
Er 0.2500 0.2500 0.2500
Er 0.7500 0.7500 0.7500
Os 0.5000 0.5000 0.5000
```